--- 1 ---
Density functional theory data (PBE-GGA) for an optimized crystal structure of Er2MgS4.

Lattice parameters (Å, degrees): 13.4312 7.8305 6.4912 90.00 90.00 90.00
With the nearest neighbours (Å) after each atom.
Atoms (fractional coordinates):
Er 0.0000 0.0000 0.0000  6 S 2.68-2.76
Er 0.0000 0.5000 0.0000  6 S 2.68-2.76
Er 0.2324 0.2500 0.4993  6 S 2.69-2.80
Er 0.2676 0.7500 0.9993  6 S 2.69-2.80
Er 0.5000 0.0000 0.5000  6 S 2.68-2.76
Er 0.5000 0.5000 0.5000  6 S 2.68-2.76
Er 0.7324 0.2500 0.0007  6 S 2.69-2.80
Er 0.7676 0.7500 0.5007  6 S 2.69-2.80
Mg 0.0925 0.7500 0.5744  4 S 2.39-2.48
Mg 0.4075 0.2500 0.0744  4 S 2.39-2.48
Mg 0.5925 0.7500 0.9256  4 S 2.39-2.48
Mg 0.9075 0.2500 0.4256  4 S 2.39-2.48
S 0.0715 0.2500 0.2516  1 Mg 2.48, 3 Er 2.69-2.72
S 0.0921 0.7500 0.2063  1 Mg 2.39, 2 Er 2.68
S 0.1682 0.5079 0.7572  1 Mg 2.46
S 0.1682 0.9921 0.7572  1 Mg 2.46
S 0.3318 0.0079 0.2572  1 Mg 2.46
S 0.3318 0.4921 0.2572  1 Mg 2.46
S 0.4079 0.2500 0.7063  1 Mg 2.39, 2 Er 2.68
S 0.4285 0.7500 0.7516  1 Mg 2.48, 3 Er 2.69-2.72
S 0.5715 0.2500 0.2484  1 Mg 2.48, 3 Er 2.69-2.72
S 0.5921 0.7500 0.2937  1 Mg 2.39, 2 Er 2.68
S 0.6682 0.5079 0.7428  1 Mg 2.46
S 0.6682 0.9921 0.7428  1 Mg 2.46
S 0.8318 0.0079 0.2428  1 Mg 2.46
S 0.8318 0.4921 0.2428  1 Mg 2.46
S 0.9079 0.2500 0.7937  1 Mg 2.39, 2 Er 2.68
S 0.9285 0.7500 0.7484  1 Mg 2.48, 3 Er 2.69-2.72

--- 2 ---
Density functional theory data (PBE-GGA) for an optimized crystal structure of Er2MgS4.

Lattice parameters (Å, degrees): 7.1520 8.2641 12.9690 99.34 95.45 90.00
With the nearest neighbours (Å) after each atom.
Atoms (fractional coordinates):
Er 0.1320 0.4455 0.3020  4 S 2.54-2.59
Er 0.1327 0.9555 0.3047  4 S 2.55-2.58
Er 0.2582 0.1267 0.0005  6 S 2.73-2.80
Er 0.3642 0.2999 0.6969  4 S 2.54-2.59
Er 0.6358 0.7001 0.3031  4 S 2.54-2.59
Er 0.7418 0.8733 0.9995  6 S 2.73-2.80
Er 0.8673 0.0445 0.6953  4 S 2.55-2.58
Er 0.8680 0.5545 0.6980  4 S 2.54-2.59
Mg 0.2510 0.6230 0.9969  6 S 2.68-2.73
Mg 0.3667 0.7997 0.6998  4 S 2.44-2.48
Mg 0.6333 0.2003 0.3002  4 S 2.44-2.48
Mg 0.7490 0.3770 0.0031  6 S 2.68-2.73
S 0.0975 0.4056 0.1026  2 Er 2.54-2.77, 2 Mg 2.69-2.72
S 0.1036 0.8977 0.1045  3 Er 2.55-2.80, 1 Mg 2.73
S 0.1928 0.5405 0.6274  1 Mg 2.48, 2 Er 2.57-2.58
S 0.1939 0.0231 0.6272  1 Mg 2.48, 2 Er 2.57-2.58
S 0.3105 0.7187 0.3760  3 Er 2.58-2.59
S 0.3254 0.2186 0.3734  1 Mg 2.47, 2 Er 2.56-2.57
S 0.3945 0.8449 0.8911  2 Mg 2.44-2.72, 1 Er 2.73
S 0.4036 0.3533 0.8964  2 Er 2.54-2.74, 2 Mg 2.68-2.70
S 0.5964 0.6467 0.1036  2 Er 2.54-2.74, 2 Mg 2.68-2.70
S 0.6055 0.1551 0.1089  2 Mg 2.44-2.72, 1 Er 2.73
S 0.6746 0.7814 0.6266  1 Mg 2.47, 2 Er 2.56-2.57
S 0.6895 0.2813 0.6240  3 Er 2.58-2.59
S 0.8061 0.9769 0.3728  1 Mg 2.48, 2 Er 2.57-2.58
S 0.8072 0.4595 0.3726  1 Mg 2.48, 2 Er 2.57-2.58
S 0.8964 0.1023 0.8955  3 Er 2.55-2.80, 1 Mg 2.73
S 0.9025 0.5944 0.8974  2 Er 2.54-2.77, 2 Mg 2.69-2.72

1 (174 meV per atom below the next structure)

--- 1 ---
Density functional theory data (PBE-GGA) for an optimized crystal structure of Er2MgS4.

Lattice parameters (Å, degrees): 12.5791 7.5100 12.7262 90.00 90.00 90.00
With the nearest neighbours (Å) after each atom.
Atoms (fractional coordinates):
Er 0.1085 0.1146 0.0000  6 S 2.67-2.74
Er 0.1266 0.6162 0.3594  6 S 2.66-2.76
Er 0.1343 0.3688 0.6933  7 S 2.71-3.02
Er 0.1346 0.8691 0.6938  6 S 2.70-2.88
Er 0.3654 0.8691 0.1938  6 S 2.70-2.88
Er 0.3657 0.3688 0.1933  7 S 2.71-3.02
Er 0.3734 0.6162 0.8594  6 S 2.66-2.76
Er 0.3915 0.1146 0.5000  6 S 2.67-2.74
Er 0.6085 0.8854 0.0000  6 S 2.67-2.74
Er 0.6266 0.3838 0.3594  6 S 2.66-2.76
Er 0.6343 0.6312 0.6933  7 S 2.71-3.02
Er 0.6346 0.1309 0.6938  6 S 2.70-2.88
Er 0.8654 0.1309 0.1938  6 S 2.70-2.88
Er 0.8657 0.6312 0.1933  7 S 2.71-3.02
Er 0.8734 0.3838 0.8594  6 S 2.66-2.76
Er 0.8915 0.8854 0.5000  6 S 2.67-2.74
Mg 0.1116 0.6162 0.9939  5 S 2.53-2.67
Mg 0.1262 0.1198 0.3643  6 S 2.54-2.77
Mg 0.3738 0.1198 0.8643  6 S 2.54-2.77
Mg 0.3884 0.6162 0.4939  5 S 2.53-2.67
Mg 0.6116 0.3838 0.9939  5 S 2.53-2.67
Mg 0.6262 0.8802 0.3643  6 S 2.54-2.77
Mg 0.8738 0.8802 0.8643  6 S 2.54-2.77
Mg 0.8884 0.3838 0.4939  5 S 2.53-2.67
S 0.0130 0.1216 0.8078  1 Mg 2.62, 4 Er 2.72-2.84
S 0.0236 0.6242 0.8149  2 Mg 2.53-2.77, 3 Er 2.67-2.83
S 0.0309 0.6208 0.5549  1 Mg 2.64, 4 Er 2.74-2.89
S 0.0449 0.1231 0.5491  2 Mg 2.56-2.86, 2 Er 2.70-2.84
S 0.2114 0.1184 0.1836  1 Mg 2.54, 3 Er 2.67-2.71
S 0.2129 0.6186 0.1669  1 Mg 2.54, 3 Er 2.68-2.71
S 0.2319 0.8660 0.9117  2 Mg 2.63-2.68, 2 Er 2.67-2.68
S 0.2338 0.3634 0.9090  2 Mg 2.60-2.67, 2 Er 2.66-2.71
S 0.2662 0.3634 0.4090  2 Mg 2.60-2.67, 2 Er 2.66-2.71
S 0.2681 0.8660 0.4117  2 Mg 2.63-2.68, 2 Er 2.67-2.68
S 0.2871 0.6186 0.6669  1 Mg 2.54, 3 Er 2.68-2.71
S 0.2886 0.1184 0.6836  1 Mg 2.54, 3 Er 2.67-2.71
S 0.4551 0.1231 0.0491  2 Mg 2.56-2.86, 2 Er 2.70-2.84
S 0.4691 0.6208 0.0549  1 Mg 2.64, 4 Er 2.74-2.89
S 0.4764 0.6242 0.3149  2 Mg 2.53-2.77, 3 Er 2.67-2.83
S 0.4870 0.1216 0.3078  1 Mg 2.62, 4 Er 2.72-2.84
S 0.5130 0.8784 0.8078  1 Mg 2.62, 4 Er 2.72-2.84
S 0.5236 0.3758 0.8149  2 Mg 2.53-2.77, 3 Er 2.67-2.83
S 0.5309 0.3792 0.5549  1 Mg 2.64, 4 Er 2.74-2.89
S 0.5449 0.8769 0.5491  2 Mg 2.56-2.86, 2 Er 2.70-2.84
S 0.7114 0.8816 0.1836  1 Mg 2.54, 3 Er 2.67-2.71
S 0.7129 0.3814 0.1669  1 Mg 2.54, 3 Er 2.68-2.71
S 0.7319 0.1340 0.9117  2 Mg 2.63-2.68, 2 Er 2.67-2.68
S 0.7338 0.6366 0.9090  2 Mg 2.60-2.67, 2 Er 2.66-2.71
S 0.7662 0.6366 0.4090  2 Mg 2.60-2.67, 2 Er 2.66-2.71
S 0.7681 0.1340 0.4117  2 Mg 2.63-2.68, 2 Er 2.67-2.68
S 0.7871 0.3814 0.6669  1 Mg 2.54, 3 Er 2.68-2.71
S 0.7886 0.8816 0.6836  1 Mg 2.54, 3 Er 2.67-2.71
S 0.9551 0.8769 0.0491  2 Mg 2.56-2.86, 2 Er 2.70-2.84
S 0.9691 0.3792 0.0549  1 Mg 2.64, 4 Er 2.74-2.89
S 0.9764 0.3758 0.3149  2 Mg 2.53-2.77, 3 Er 2.67-2.83
S 0.9870 0.8784 0.3078  1 Mg 2.62, 4 Er 2.72-2.84

--- 2 ---
Density functional theory data (PBE-GGA) for an optimized crystal structure of Er2MgS4.

Lattice parameters (Å, degrees): 12.5214 3.8142 13.2724 90.00 90.00 90.00
With the nearest neighbours (Å) after each atom.
Atoms (fractional coordinates):
Er 0.1149 0.2500 0.0774  6 S 2.68-2.79
Er 0.1417 0.2500 0.7043  6 S 2.64-2.78
Er 0.3583 0.7500 0.2043  6 S 2.64-2.78
Er 0.3851 0.7500 0.5774  6 S 2.68-2.79
Er 0.6149 0.2500 0.4226  6 S 2.68-2.79
Er 0.6417 0.2500 0.7957  6 S 2.64-2.78
Er 0.8583 0.7500 0.2957  6 S 2.64-2.78
Er 0.8851 0.7500 0.9226  6 S 2.68-2.79
Mg 0.1152 0.7500 0.4446  5 S 2.58-2.66
Mg 0.3848 0.2500 0.9446  5 S 2.58-2.66
Mg 0.6152 0.7500 0.0554  5 S 2.58-2.66
Mg 0.8848 0.2500 0.5554  5 S 2.58-2.66
S 0.0139 0.7500 0.6140  3 Mg 2.58-2.62, 2 Er 2.76
S 0.0302 0.2500 0.8828  4 Er 2.69-2.79
S 0.2218 0.2500 0.2525  3 Er 2.64-2.68
S 0.2418 0.2500 0.5170  2 Mg 2.66, 3 Er 2.74-2.78
S 0.2582 0.7500 0.0170  2 Mg 2.66, 3 Er 2.74-2.78
S 0.2782 0.7500 0.7525  3 Er 2.64-2.68
S 0.4698 0.7500 0.3828  4 Er 2.69-2.79
S 0.4861 0.2500 0.1140  3 Mg 2.58-2.62, 2 Er 2.76
S 0.5139 0.7500 0.8860  3 Mg 2.58-2.62, 2 Er 2.76
S 0.5302 0.2500 0.6172  4 Er 2.69-2.79
S 0.7218 0.2500 0.2475  3 Er 2.64-2.68
S 0.7418 0.2500 0.9830  2 Mg 2.66, 3 Er 2.74-2.78
S 0.7582 0.7500 0.4830  2 Mg 2.66, 3 Er 2.74-2.78
S 0.7782 0.7500 0.7475  3 Er 2.64-2.68
S 0.9698 0.7500 0.1172  4 Er 2.69-2.79
S 0.9861 0.2500 0.3860  3 Mg 2.58-2.62, 2 Er 2.76

1 (43 meV per atom below the next structure)

--- 1 ---
Density functional theory data (PBE-GGA) for an optimized crystal structure of Er2MgS4.

Lattice parameters (Å, degrees): 7.9286 7.2432 11.3328 90.00 90.00 90.00
With the nearest neighbours (Å) after each atom.
Atoms (fractional coordinates):
Er 0.0346 0.2500 0.1892  5 S 2.67-2.83
Er 0.0747 0.7500 0.4794  6 S 2.58-2.88
Er 0.4253 0.2500 0.9794  6 S 2.58-2.88
Er 0.4654 0.7500 0.6892  5 S 2.67-2.83
Er 0.5346 0.2500 0.3108  5 S 2.67-2.83
Er 0.5747 0.7500 0.0206  6 S 2.58-2.88
Er 0.9253 0.2500 0.5206  6 S 2.58-2.88
Er 0.9654 0.7500 0.8108  5 S 2.67-2.83
Mg 0.1845 0.7500 0.0913  4 S 2.33-2.45
Mg 0.3155 0.2500 0.5913  4 S 2.33-2.45
Mg 0.6845 0.7500 0.4087  4 S 2.33-2.45
Mg 0.8155 0.2500 0.9087  4 S 2.33-2.45
S 0.1024 0.2500 0.9545  1 Mg 2.33, 1 Er 2.58
S 0.1295 0.9998 0.6568  1 Mg 2.45, 1 Er 2.74
S 0.1295 0.5002 0.6568  1 Mg 2.45, 1 Er 2.74
S 0.2160 0.2500 0.3881  1 Mg 2.43, 2 Er 2.67
S 0.2840 0.7500 0.8881  1 Mg 2.43, 2 Er 2.67
S 0.3705 0.0002 0.1568  1 Mg 2.45, 1 Er 2.74
S 0.3705 0.4998 0.1568  1 Mg 2.45, 1 Er 2.74
S 0.3976 0.7500 0.4545  1 Mg 2.33, 1 Er 2.58
S 0.6024 0.2500 0.5455  1 Mg 2.33, 1 Er 2.58
S 0.6295 0.9998 0.8432  1 Mg 2.45, 1 Er 2.74
S 0.6295 0.5002 0.8432  1 Mg 2.45, 1 Er 2.74
S 0.7160 0.2500 0.1119  1 Mg 2.43, 2 Er 2.67
S 0.7840 0.7500 0.6119  1 Mg 2.43, 2 Er 2.67
S 0.8705 0.0002 0.3432  1 Mg 2.45, 1 Er 2.74
S 0.8705 0.4998 0.3432  1 Mg 2.45, 1 Er 2.74
S 0.8976 0.7500 0.0455  1 Mg 2.33, 1 Er 2.58

--- 2 ---
Density functional theory data (PBE-GGA) for an optimized crystal structure of Er2MgS4.

Lattice parameters (Å, degrees): 7.8630 7.8630 7.8630 60.00 60.00 60.00
With the nearest neighbours (Å) after each atom.
Atoms (fractional coordinates):
Er 0.0000 0.0000 0.0000  6 S 2.72
Er 0.0000 0.0000 0.5000  6 S 2.72
Er 0.0000 0.5000 0.0000  6 S 2.72
Er 0.5000 0.0000 0.0000  6 S 2.72
Mg 0.3750 0.3750 0.3750  4 S 2.51
Mg 0.6250 0.6250 0.6250  4 S 2.51
S 0.2347 0.7551 0.7551  1 Mg 2.51, 3 Er 2.72
S 0.2449 0.2449 0.2449  1 Mg 2.51, 3 Er 2.72
S 0.2449 0.2449 0.7653  1 Mg 2.51, 3 Er 2.72
S 0.2449 0.7653 0.2449  1 Mg 2.51, 3 Er 2.72
S 0.7551 0.2347 0.7551  1 Mg 2.51, 3 Er 2.72
S 0.7551 0.7551 0.2347  1 Mg 2.51, 3 Er 2.72
S 0.7551 0.7551 0.7551  1 Mg 2.51, 3 Er 2.72
S 0.7653 0.2449 0.2449  1 Mg 2.51, 3 Er 2.72

--- 3 ---
Density functional theory data (PBE-GGA) for an optimized crystal structure of Er2MgS4.

Lattice parameters (Å, degrees): 6.5080 6.5080 12.7857 90.00 90.00 146.43
With the nearest neighbours (Å) after each atom.
Atoms (fractional coordinates):
Er 0.1178 0.8822 0.5000  6 S 2.69-2.90
Er 0.3620 0.6380 0.7007  6 S 2.68-2.74
Er 0.6380 0.3620 0.2007  6 S 2.68-2.74
Er 0.8822 0.1178 0.0000  6 S 2.69-2.90
Mg 0.3739 0.6261 0.3371  6 S 2.54-2.65
Mg 0.6261 0.3739 0.8371  6 S 2.54-2.65
S 0.0118 0.9882 0.2854  2 Mg 2.63, 2 Er 2.68
S 0.2637 0.7363 0.8881  2 Mg 2.63, 3 Er 2.69-2.78
S 0.2885 0.7115 0.1471  1 Mg 2.65, 4 Er 2.74-2.90
S 0.4637 0.5363 0.5156  1 Mg 2.54, 3 Er 2.69
S 0.5363 0.4637 0.0156  1 Mg 2.54, 3 Er 2.69
S 0.7115 0.2885 0.6471  1 Mg 2.65, 4 Er 2.74-2.90
S 0.7363 0.2637 0.3881  2 Mg 2.63, 3 Er 2.69-2.78
S 0.9882 0.0118 0.7854  2 Mg 2.63, 2 Er 2.68

--- 4 ---
Density functional theory data (PBE-GGA) for an optimized crystal structure of Er2MgS4.

Lattice parameters (Å, degrees): 7.1335 7.1335 7.1335 110.49 110.49 107.45
With the nearest neighbours (Å) after each atom.
Atoms (fractional coordinates):
Er 0.0072 0.6250 0.8822  6 S 2.68-2.95
Er 0.3750 0.2572 0.3822  6 S 2.68-2.95
Er 0.7428 0.1250 0.1178  6 S 2.68-2.95
Er 0.8750 0.9928 0.6178  6 S 2.68-2.95
Mg 0.2500 0.7500 0.5000  4 S 2.60
Mg 0.5000 0.5000 0.0000  4 S 2.60
S 0.0069 0.8792 0.2613  1 Mg 2.60, 2 Er 2.68-2.73
S 0.1208 0.3821 0.1277  1 Mg 2.60, 2 Er 2.68-2.73
S 0.1321 0.3708 0.6277  1 Mg 2.60, 2 Er 2.68-2.73
S 0.2543 0.9931 0.8723  1 Mg 2.60, 2 Er 2.68-2.73
S 0.4957 0.8679 0.2387  1 Mg 2.60, 2 Er 2.68-2.73
S 0.6179 0.7457 0.7387  1 Mg 2.60, 2 Er 2.68-2.73
S 0.6292 0.2569 0.7613  1 Mg 2.60, 2 Er 2.68-2.73
S 0.7431 0.5043 0.3723  1 Mg 2.60, 2 Er 2.68-2.73

2 (24 meV per atom below the next structure)

--- 1 ---
Density functional theory data (PBE-GGA) for an optimized crystal structure of Na3ErTi2Nb2O12.

Lattice parameters (Å, degrees): 5.4139 5.5798 7.7586 89.85 89.95 89.32
With the nearest neighbours (Å) after each atom.
Atoms (fractional coordinates):
Na 0.0000 0.0000 0.0000  4 O 2.32-2.54
Na 0.0199 0.9254 0.5010  6 O 2.35-2.61
Na 0.5174 0.4911 0.0005  4 O 2.37-2.60
Er 0.4992 0.3954 0.5014  6 O 2.27-2.38
Ti 0.0009 0.4482 0.2589  5 O 1.87-2.06
Ti 0.5134 0.9434 0.7436  5 O 1.88-2.08
Nb 0.0040 0.4595 0.7626  6 O 1.92-2.15
Nb 0.5145 0.9420 0.2398  4 O 1.89-2.12
O 0.0818 0.4466 0.0044  1 Nb 1.92, 1 Ti 2.02
O 0.2304 0.1970 0.3062  1 Ti 1.90
O 0.2343 0.1936 0.6969  1 Nb 1.99, 1 Ti 2.08
O 0.3146 0.6700 0.3082  1 Nb 1.95, 1 Ti 2.15
O 0.3179 0.6718 0.6950  1 Ti 1.90
O 0.4268 0.9488 0.9983  1 Nb 1.93, 1 Ti 2.03
O 0.5909 0.9968 0.5045  1 Ti 1.92, 1 Nb 2.12
O 0.7144 0.2647 0.7785  1 Nb 1.92, 1 Ti 2.13
O 0.7164 0.2669 0.2248  1 Ti 1.87
O 0.8053 0.7674 0.7899  1 Ti 1.88, 1 Nb 2.03
O 0.8116 0.7640 0.2110  1 Nb 1.89, 1 Ti 2.06
O 0.9084 0.4918 0.4975  1 Ti 1.93, 1 Nb 2.13

--- 2 ---
Density functional theory data (PBE-GGA) for an optimized crystal structure of Na3ErTi2Nb2O12.

Lattice parameters (Å, degrees): 15.5084 5.4349 5.5921 90.00 90.00 90.00
With the nearest neighbours (Å) after each atom.
Atoms (fractional coordinates):
Na 0.0000 0.2418 0.0000  4 O 2.36-2.54
Na 0.0000 0.7582 0.5000  4 O 2.36-2.54
Na 0.2531 0.2551 0.9337  4 O 2.36-2.56
Na 0.2531 0.7449 0.4337  4 O 2.36-2.56
Na 0.7469 0.2551 0.9337  4 O 2.36-2.56
Na 0.7469 0.7449 0.4337  4 O 2.36-2.56
Er 0.5000 0.2375 0.0299  8 O 2.29-2.50
Er 0.5000 0.7625 0.5299  8 O 2.29-2.50
Ti 0.3737 0.2621 0.4884  4 O 1.84-2.05
Ti 0.3737 0.7379 0.9884  4 O 1.84-2.05
Ti 0.6263 0.2621 0.4884  4 O 1.84-2.05
Ti 0.6263 0.7379 0.9884  4 O 1.84-2.05
Nb 0.1272 0.2500 0.4658  6 O 2.00-2.03
Nb 0.1272 0.7500 0.9658  6 O 2.00-2.03
Nb 0.8728 0.2500 0.4658  6 O 2.00-2.03
Nb 0.8728 0.7500 0.9658  6 O 2.00-2.03
O 0.0000 0.3272 0.4472  2 Nb 2.02
O 0.0000 0.6728 0.9472  2 Nb 2.02
O 0.1069 0.0435 0.7565  2 Nb 2.00
O 0.1069 0.9565 0.2565  2 Nb 2.00
O 0.1471 0.4567 0.1733  2 Nb 2.00-2.01
O 0.1471 0.5433 0.6733  2 Nb 2.00-2.01
O 0.2552 0.1764 0.4816  1 Ti 1.90, 1 Nb 2.03
O 0.2552 0.8236 0.9816  1 Ti 1.90, 1 Nb 2.03
O 0.3640 0.4474 0.1556  1 Ti 1.84
O 0.3640 0.5526 0.6556  1 Ti 1.84
O 0.4088 0.0472 0.7436  1 Ti 1.92
O 0.4088 0.9528 0.2436  1 Ti 1.92
O 0.5000 0.3520 0.4233  2 Ti 2.05, 1 Er 2.29
O 0.5000 0.6480 0.9233  2 Ti 2.05, 1 Er 2.29
O 0.5912 0.0472 0.7436  1 Ti 1.92
O 0.5912 0.9528 0.2436  1 Ti 1.92
O 0.6360 0.4474 0.1556  1 Ti 1.84
O 0.6360 0.5526 0.6556  1 Ti 1.84
O 0.7448 0.1764 0.4816  1 Ti 1.90, 1 Nb 2.03
O 0.7448 0.8236 0.9816  1 Ti 1.90, 1 Nb 2.03
O 0.8529 0.4567 0.1733  2 Nb 2.00-2.01
O 0.8529 0.5433 0.6733  2 Nb 2.00-2.01
O 0.8931 0.0435 0.7565  2 Nb 2.00
O 0.8931 0.9565 0.2565  2 Nb 2.00

2 (6 meV per atom below the next structure)

--- 1 ---
Density functional theory data (PBE-GGA) for an optimized crystal structure of ErNp3.

Lattice parameters (Å, degrees): 5.5508 5.5508 5.5508 131.93 131.93 70.34
With the nearest neighbours (Å) after each atom.
Atoms (fractional coordinates):
Er 0.0000 0.0000 0.0000  12 Np 3.20
Np 0.2500 0.7500 0.5000  8 Np 3.20, 4 Er 3.20
Np 0.5000 0.5000 0.0000  4 Er 3.20, 8 Np 3.20
Np 0.7500 0.2500 0.5000  8 Np 3.20, 4 Er 3.20

--- 2 ---
Density functional theory data (PBE-GGA) for an optimized crystal structure of ErNp3.

Lattice parameters (Å, degrees): 4.6918 4.6918 4.6918 90.00 90.00 90.00
With the nearest neighbours (Å) after each atom.
Atoms (fractional coordinates):
Er 0.0000 0.0000 0.0000  12 Np 3.32
Np 0.0000 0.5000 0.5000  4 Er 3.32, 8 Np 3.32
Np 0.5000 0.0000 0.5000  4 Er 3.32, 8 Np 3.32
Np 0.5000 0.5000 0.0000  4 Er 3.32, 8 Np 3.32

1 (38 meV per atom below the next structure)